The following is a GGA-PBE calculation of a relaxed structure of Sm2Fe3Ru, from the Materials Project.

## Properties
* SG: R-3m (166)
* energy of formation from the pure elements: 0.123 eV per atom
* density: 9.06 g/cm3
* total moment: 0.34 μB/f.u.

```
6
Lattice="-0.645 5.220 -0.882 -1.275 3.332 3.963 3.510 3.566 1.845" Properties=species:S:1:pos:R:3 pbc="T T T"
Sm 0.199 1.515 0.616
Sm 1.391 10.603 4.311
Fe 1.432 4.393 0.482
Fe 1.117 3.449 2.904
Fe -0.960 4.276 1.541
Ru 0.795 6.059 2.463
```